Entry i
# MgCu6OF11 (PBE, relaxed)
# - ρ: 4.4 g/cm3
# - Total moment: 1.0 μB/cell
data_MgCu6OF11
_chemical_formula_sum 'Mg1 Cu6 O1 F11'
_cell_length_a 4.963
_cell_length_b 5.564
_cell_length_c 8.813
_cell_angle_alpha 91.56
_cell_angle_beta 90.84
_cell_angle_gamma 99.90
_space_group_name_H-M_alt 'P 1'
_space_group_IT_number 1
_space_group_name_Hall 'P 1'
loop_
_atom_site_label
_atom_site_type_symbol
_atom_site_fract_x
_atom_site_fract_y
_atom_site_fract_z
Mg1 Mg 0.000 0.000 0.000
Cu1 Cu 0.256 0.208 0.570
Cu2 Cu 0.302 0.555 0.222
Cu3 Cu 0.445 0.771 0.812
Cu4 Cu 0.775 0.137 0.367
Cu5 Cu 0.795 0.712 0.542
Cu6 Cu 0.797 0.407 0.902
O1 O 0.018 0.971 0.464
F1 F 0.000 0.735 0.837
F2 F 0.008 0.435 0.488
F3 F 0.026 0.272 0.151
F4 F 0.080 0.234 0.833
F5 F 0.081 0.769 0.140
F6 F 0.488 0.973 0.635
F7 F 0.502 0.333 0.321
F8 F 0.514 0.566 0.979
F9 F 0.524 0.486 0.652
F10 F 0.559 0.823 0.306
F11 F 0.612 0.064 0.954


Entry ii
# MgCu6OF11 (PBE, relaxed)
# - ρ: 4.3 g/cm3
# - Total moment: 3.0 μB/cell
data_MgCu6OF11
_chemical_formula_sum 'Mg1 Cu6 O1 F11'
_cell_length_a 4.973
_cell_length_b 5.695
_cell_length_c 8.784
_cell_angle_alpha 88.92
_cell_angle_beta 88.92
_cell_angle_gamma 78.44
_space_group_name_H-M_alt 'P 1'
_space_group_IT_number 1
_space_group_name_Hall 'P 1'
loop_
_atom_site_label
_atom_site_type_symbol
_atom_site_fract_x
_atom_site_fract_y
_atom_site_fract_z
Mg1 Mg 0.000 0.000 0.000
Cu1 Cu 0.225 0.405 0.899
Cu2 Cu 0.236 0.647 0.468
Cu3 Cu 0.286 0.088 0.294
Cu4 Cu 0.560 0.765 0.812
Cu5 Cu 0.713 0.558 0.236
Cu6 Cu 0.756 0.231 0.590
O1 O 0.445 0.782 0.331
F1 F 0.014 0.983 0.494
F2 F 0.396 0.056 0.970
F3 F 0.466 0.502 0.667
F4 F 0.488 0.333 0.343
F5 F 0.501 0.557 0.985
F6 F 0.543 0.003 0.658
F7 F 0.930 0.790 0.162
F8 F 0.935 0.245 0.838
F9 F 0.948 0.467 0.502
F10 F 0.986 0.268 0.159
F11 F 0.996 0.738 0.856


Entry iii
# MgCu6OF11 (PBE, relaxed)
# - ρ: 4.3 g/cm3
# - Total moment: 0.3 μB/cell
data_MgCu6OF11
_chemical_formula_sum 'Mg1 Cu6 O1 F11'
_cell_length_a 4.794
_cell_length_b 5.489
_cell_length_c 9.216
_cell_angle_alpha 91.00
_cell_angle_beta 90.97
_cell_angle_gamma 90.77
_space_group_name_H-M_alt 'P 1'
_space_group_IT_number 1
_space_group_name_Hall 'P 1'
loop_
_atom_site_label
_atom_site_type_symbol
_atom_site_fract_x
_atom_site_fract_y
_atom_site_fract_z
Mg1 Mg 0.000 0.000 0.000
Cu1 Cu 0.213 0.679 0.175
Cu2 Cu 0.230 0.987 0.717
Cu3 Cu 0.238 0.348 0.462
Cu4 Cu 0.664 0.188 0.183
Cu5 Cu 0.741 0.502 0.765
Cu6 Cu 0.800 0.814 0.406
O1 O 0.900 0.900 0.203
F1 F 0.012 0.741 0.854
F2 F 0.020 0.059 0.523
F3 F 0.389 0.960 0.060
F4 F 0.458 0.282 0.693
F5 F 0.458 0.615 0.380
F6 F 0.477 0.456 0.089
F7 F 0.492 0.124 0.382
F8 F 0.535 0.771 0.700
F9 F 0.953 0.229 0.849
F10 F 0.969 0.563 0.542
F11 F 0.991 0.395 0.225


Looking at the structures above, entry i is most stable, and the difference to the next one is 6 meV per atom.